RbPb2Br5 | r²SCAN | relaxed

Lattice parameters (Å, degrees): 9.548 9.548 9.548 127.33 127.33 77.71
Atoms (fractional coordinates):
Rb1 0.250 0.250 0.000
Rb2 0.750 0.750 0.000
Pb1 0.166 0.666 0.833
Pb2 0.334 0.166 0.500
Pb3 0.666 0.834 0.500
Pb4 0.834 0.334 0.167
Br1 0.000 0.000 0.000
Br2 0.022 0.211 0.500
Br3 0.211 0.711 0.188
Br4 0.289 0.478 0.500
Br5 0.478 0.978 0.188
Br6 0.500 0.500 0.000
Br7 0.522 0.022 0.812
Br8 0.711 0.522 0.500
Br9 0.789 0.289 0.812
Br10 0.978 0.789 0.500

DFT formation energy in meV/atom: -1328
Space group: I4/mcm, No. 140
Calculated volume in Å³/cell: 533.66



TlPb2Br5 | r²SCAN | relaxed

Lattice parameters (Å, degrees): 9.320 8.458 13.143 90.00 90.16 90.00
Atoms (fractional coordinates):
Tl1 0.009 0.044 0.171
Tl2 0.009 0.456 0.671
Tl3 0.991 0.544 0.329
Tl4 0.991 0.956 0.829
Pb1 0.244 0.569 0.005
Pb2 0.244 0.931 0.505
Pb3 0.486 0.002 0.824
Pb4 0.486 0.498 0.324
Pb5 0.514 0.502 0.676
Pb6 0.514 0.998 0.176
Pb7 0.756 0.069 0.495
Pb8 0.756 0.431 0.995
Br1 0.042 0.176 0.416
Br2 0.042 0.324 0.916
Br3 0.265 0.152 0.687
Br4 0.265 0.348 0.187
Br5 0.267 0.688 0.780
Br6 0.267 0.812 0.280
Br7 0.278 0.539 0.502
Br8 0.278 0.961 0.002
Br9 0.458 0.163 0.401
Br10 0.458 0.337 0.901
Br11 0.542 0.663 0.099
Br12 0.542 0.837 0.599
Br13 0.722 0.039 0.998
Br14 0.722 0.461 0.498
Br15 0.733 0.188 0.720
Br16 0.733 0.312 0.220
Br17 0.735 0.652 0.813
Br18 0.735 0.848 0.313
Br19 0.958 0.676 0.084
Br20 0.958 0.824 0.584

DFT formation energy in meV/atom: -1066
Space group: P2_1/c, No. 14
Calculated volume in Å³/cell: 1035.99



PmBr3 | r²SCAN | relaxed

Lattice parameters (Å, degrees): 10.000 10.000 3.871 90.00 90.00 120.00
Atoms (fractional coordinates):
Pm1 0.333 0.667 0.250
Pm2 0.667 0.333 0.750
Br1 0.209 0.418 0.750
Br2 0.209 0.791 0.750
Br3 0.418 0.209 0.250
Br4 0.582 0.791 0.750
Br5 0.791 0.209 0.250
Br6 0.791 0.582 0.250

DFT formation energy in meV/atom: -2089
Space group: P6_3/mmc, No. 194
Calculated volume in Å³/cell: 335.27



Pr2Br5 | r²SCAN | relaxed

Lattice parameters (Å, degrees): 7.937 4.205 13.497 90.00 90.31 90.00
Atoms (fractional coordinates):
Pr1 0.076 0.250 0.341
Pr2 0.421 0.750 0.160
Pr3 0.579 0.250 0.840
Pr4 0.924 0.750 0.659
Br1 0.151 0.250 0.121
Br2 0.165 0.250 0.727
Br3 0.190 0.750 0.489
Br4 0.353 0.750 0.930
Br5 0.454 0.250 0.320
Br6 0.546 0.750 0.680
Br7 0.647 0.250 0.070
Br8 0.810 0.250 0.511
Br9 0.835 0.750 0.273
Br10 0.849 0.750 0.879

DFT formation energy in meV/atom: -2119
Space group: P2_1/m, No. 11
Calculated volume in Å³/cell: 450.45



Repeat the first record exactly.
RbPb2Br5 | r²SCAN | relaxed

Lattice parameters (Å, degrees): 9.548 9.548 9.548 127.33 127.33 77.71
Atoms (fractional coordinates):
Rb1 0.250 0.250 0.000
Rb2 0.750 0.750 0.000
Pb1 0.166 0.666 0.833
Pb2 0.334 0.166 0.500
Pb3 0.666 0.834 0.500
Pb4 0.834 0.334 0.167
Br1 0.000 0.000 0.000
Br2 0.022 0.211 0.500
Br3 0.211 0.711 0.188
Br4 0.289 0.478 0.500
Br5 0.478 0.978 0.188
Br6 0.500 0.500 0.000
Br7 0.522 0.022 0.812
Br8 0.711 0.522 0.500
Br9 0.789 0.289 0.812
Br10 0.978 0.789 0.500

DFT formation energy in meV/atom: -1328
Space group: I4/mcm, No. 140
Calculated volume in Å³/cell: 533.66